## MnTlF4 (PBE with a Hubbard U)

Data for MnTlF4 after structural relaxation.

a = 13.848 Å, b = 5.571 Å, c = 5.499 Å
α = 90.00°, β = 112.93°, γ = 90.00°
Space group C2/c (No. 15)
Unique sites:
Mn 0.250 0.250 0.000 (multiplicity 4)
Tl 0.000 0.235 0.250 (multiplicity 4)
F 0.109 0.342 0.829 (multiplicity 8)
F 0.212 0.067 0.244 (multiplicity 8)

E_form = -2.584 eV/atom

***

## MnZn3F6 (PBE with a Hubbard U)

Data for MnZn3F6 after structural relaxation.

a = 5.310 Å, b = 7.068 Å, c = 11.228 Å
α = 89.02°, β = 87.25°, γ = 73.33°
Space group P-1 (No. 2)
Unique sites:
Mn 0.000 0.000 0.000 (multiplicity 1)
Zn 0.000 0.000 0.500 (multiplicity 1)
Zn 0.000 0.500 0.000 (multiplicity 1)
Zn 0.500 0.500 0.000 (multiplicity 1)
F 0.064 0.977 0.651 (multiplicity 2)
F 0.094 0.248 0.922 (multiplicity 2)
F 0.316 0.802 0.932 (multiplicity 2)

E_form = -1.890 eV/atom
size of the total moment = 5.0 Bohr magnetons per cell

***

## MnZn3F6 (PBE with a Hubbard U)

Data for MnZn3F6 after structural relaxation.

a = 5.118 Å, b = 5.418 Å, c = 5.906 Å
α = 68.04°, β = 86.35°, γ = 79.90°
Space group P-1 (No. 2)
Unique sites:
Mn 0.000 0.000 0.000 (multiplicity 1)
Zn 0.000 0.000 0.500 (multiplicity 1)
Zn 0.000 0.500 0.500 (multiplicity 1)
Zn 0.500 0.500 0.000 (multiplicity 1)
F 0.185 0.350 0.862 (multiplicity 2)
F 0.288 0.630 0.280 (multiplicity 2)
F 0.325 0.858 0.797 (multiplicity 2)

E_form = -2.142 eV/atom
size of the total moment = 5.0 Bohr magnetons per cell

***

## MoF5 (PBE with a Hubbard U)

Data for MoF5 after structural relaxation.

a = 9.068 Å, b = 6.364 Å, c = 7.991 Å
α = 90.00°, β = 115.63°, γ = 90.00°
Space group C2/c (No. 15)
Unique sites:
Mo 0.000 0.000 0.000 (multiplicity 4)
F 0.000 0.073 0.250 (multiplicity 4)
F 0.004 0.291 0.946 (multiplicity 8)
F 0.232 0.030 0.618 (multiplicity 8)

E_form = -2.576 eV/atom

***

## MoF3 (PBE with a Hubbard U)

Data for MoF3 after structural relaxation.

a = 4.199 Å, b = 4.199 Å, c = 4.199 Å
α = 90.00°, β = 90.00°, γ = 90.00°
Space group Pm-3m (No. 221)
Unique sites:
Mo 0.000 0.000 0.000 (multiplicity 1)
F 0.000 0.000 0.500 (multiplicity 3)

E_form = -2.749 eV/atom

***

## MoF5 (PBE with a Hubbard U)

Data for MoF5 after structural relaxation.

a = 3.732 Å, b = 4.427 Å, c = 9.408 Å
α = 90.00°, β = 90.00°, γ = 90.00°
Space group Immm (No. 71)
Unique sites:
Mo 0.000 0.000 0.000 (multiplicity 2)
F 0.000 0.000 0.201 (multiplicity 4)
F 0.000 0.266 0.500 (multiplicity 4)
F 0.000 0.500 0.000 (multiplicity 2)

E_form = -2.208 eV/atom
size of the total moment = 2.0 Bohr magnetons per cell